The following is a GGA-PBE calculation of PrP3O14 after structural relaxation, from the Materials Project.

Cell: 13.105 13.710 6.934 Å, 90.00 90.00 90.00°
Fractional coordinates of all 72 atoms:
Pr1 0.225 0.193 0.320
Pr2 0.275 0.693 0.680
Pr3 0.725 0.307 0.680
Pr4 0.775 0.807 0.320
P1 0.023 0.813 0.562
P2 0.155 0.127 0.801
P3 0.196 0.953 0.562
P4 0.304 0.453 0.438
P5 0.345 0.627 0.199
P6 0.477 0.313 0.438
P7 0.523 0.687 0.438
P8 0.655 0.373 0.199
P9 0.696 0.547 0.438
P10 0.804 0.047 0.562
P11 0.845 0.873 0.801
P12 0.977 0.187 0.562
O1 0.035 0.148 0.752
O2 0.050 0.210 0.402
O3 0.054 0.608 0.115
O4 0.079 0.385 0.856
O5 0.079 0.600 0.945
O6 0.087 0.908 0.496
O7 0.094 0.732 0.624
O8 0.105 0.381 0.027
O9 0.166 0.012 0.756
O10 0.166 0.139 0.014
O11 0.173 0.803 0.892
O12 0.221 0.186 0.669
O13 0.229 0.021 0.405
O14 0.234 0.371 0.379
O15 0.266 0.871 0.621
O16 0.271 0.521 0.595
O17 0.279 0.686 0.331
O18 0.327 0.303 0.108
O19 0.334 0.512 0.244
O20 0.334 0.639 0.986
O21 0.395 0.881 0.973
O22 0.406 0.232 0.376
O23 0.413 0.408 0.504
O24 0.421 0.100 0.055
O25 0.421 0.885 0.144
O26 0.446 0.108 0.885
O27 0.450 0.710 0.598
O28 0.465 0.648 0.248
O29 0.535 0.352 0.248
O30 0.550 0.290 0.598
O31 0.554 0.892 0.885
O32 0.579 0.115 0.144
O33 0.579 0.900 0.055
O34 0.587 0.592 0.504
O35 0.594 0.768 0.376
O36 0.605 0.119 0.973
O37 0.666 0.361 0.986
O38 0.666 0.488 0.244
O39 0.673 0.697 0.108
O40 0.721 0.314 0.331
O41 0.729 0.479 0.595
O42 0.734 0.129 0.621
O43 0.766 0.629 0.379
O44 0.771 0.979 0.405
O45 0.779 0.814 0.669
O46 0.827 0.197 0.892
O47 0.834 0.861 0.014
O48 0.834 0.988 0.756
O49 0.895 0.619 0.027
O50 0.906 0.268 0.624
O51 0.913 0.092 0.496
O52 0.921 0.400 0.945
O53 0.921 0.615 0.856
O54 0.946 0.392 0.115
O55 0.950 0.790 0.402
O56 0.965 0.852 0.752

Values from the calculation:
MP2020-corrected energy	-6.741	eV per atom
total moment	0.00	μB/cell
space group	No. 18
total DFT energy (no corrections)	-6.62	eV per atom

=====

The following is a GGA-PBE calculation of ThI3 after structural relaxation, from the Materials Project.

Cell: 11.205 11.205 14.930 Å, 90.00 90.00 130.88°
Fractional coordinates of all 32 atoms:
Th1 0.000 0.000 0.000
Th2 0.000 0.000 0.250
Th3 0.000 0.000 0.500
Th4 0.000 0.000 0.750
Th5 0.000 0.345 0.000
Th6 0.000 0.655 0.000
Th7 0.345 0.000 0.500
Th8 0.655 0.000 0.500
I1 0.000 0.500 0.179
I2 0.000 0.500 0.821
I3 0.021 0.775 0.373
I4 0.021 0.775 0.627
I5 0.225 0.320 0.129
I6 0.225 0.320 0.871
I7 0.225 0.979 0.127
I8 0.225 0.979 0.873
I9 0.289 0.682 0.500
I10 0.318 0.711 0.000
I11 0.320 0.225 0.371
I12 0.320 0.225 0.629
I13 0.500 0.000 0.321
I14 0.500 0.000 0.679
I15 0.680 0.775 0.371
I16 0.680 0.775 0.629
I17 0.682 0.289 0.000
I18 0.711 0.318 0.500
I19 0.775 0.021 0.127
I20 0.775 0.021 0.873
I21 0.775 0.680 0.129
I22 0.775 0.680 0.871
I23 0.979 0.225 0.373
I24 0.979 0.225 0.627

Values from the calculation:
MP2020-corrected energy	-4.488	eV per atom
space group	No. 66
total DFT energy (no corrections)	-4.20	eV per atom

=====

The following is a GGA-PBE calculation of Dy2NiSn6 after structural relaxation, from the Materials Project.

Cell: 11.428 11.428 4.451 Å, 90.00 90.00 157.79°
Fractional coordinates of all 9 atoms:
Dy1 0.178 0.822 0.000
Dy2 0.822 0.178 0.000
Ni1 0.500 0.500 0.500
Sn1 0.070 0.930 0.500
Sn2 0.295 0.705 0.500
Sn3 0.431 0.569 0.000
Sn4 0.569 0.431 0.000
Sn5 0.705 0.295 0.500
Sn6 0.930 0.070 0.500

Values from the calculation:
space group	No. 65
total DFT energy (no corrections)	-4.80	eV per atom